No. 1
An optimized crystal structure of AcAlO3. Source: the Materials Project database, functional r2SCAN.

Properties
Uncorrected energy = -22.291 eV/atom
Magnetic moment = 0.0 μB/cell
Calculated volume = 11.490 A^3/atom

abc: 3.8586 3.8586 3.8586
angles: 90.00 90.00 90.00
Fractional positions:
Ac (0.0000, 0.0000, 0.0000)
Al (0.5000, 0.5000, 0.5000)
O (0.0000, 0.5000, 0.5000)
O (0.5000, 0.0000, 0.5000)
O (0.5000, 0.5000, 0.0000)

No. 2
An optimized crystal structure of CaAcAu2. Source: the Materials Project database, functional r2SCAN.

Properties
Uncorrected energy = -45.064 eV/atom
Magnetic moment = 0.0 μB/cell
Calculated volume = 26.960 A^3/atom

abc: 5.3427 5.3427 5.3427
angles: 60.00 60.00 60.00
Fractional positions:
Ca (0.0000, 0.0000, 0.0000)
Ac (0.5000, 0.5000, 0.5000)
Au (0.2500, 0.2500, 0.2500)
Au (0.7500, 0.7500, 0.7500)

No. 3
An optimized crystal structure of AcHgAu2. Source: the Materials Project database, functional r2SCAN.

Properties
Uncorrected energy = -55.451 eV/atom
Magnetic moment = 0.0 μB/cell
Calculated volume = 25.207 A^3/atom

abc: 5.2243 5.2243 5.2243
angles: 60.00 60.00 60.00
Fractional positions:
Ac (0.0000, 0.0000, 0.0000)
Hg (0.5000, 0.5000, 0.5000)
Au (0.2500, 0.2500, 0.2500)
Au (0.7500, 0.7500, 0.7500)

No. 4
An optimized crystal structure of AcInAu2. Source: the Materials Project database, functional r2SCAN.

Properties
Uncorrected energy = -48.809 eV/atom
Magnetic moment = 0.0 μB/cell
Calculated volume = 25.232 A^3/atom

abc: 5.2261 5.2261 5.2261
angles: 60.00 60.00 60.00
Fractional positions:
Ac (0.0000, 0.0000, 0.0000)
In (0.5000, 0.5000, 0.5000)
Au (0.2500, 0.2500, 0.2500)
Au (0.7500, 0.7500, 0.7500)

No. 5
An optimized crystal structure of Ac2IrAu. Source: the Materials Project database, functional r2SCAN.

Properties
Uncorrected energy = -60.750 eV/atom
Magnetic moment = 0.0 μB/cell
Calculated volume = 27.324 A^3/atom

abc: 5.3667 5.3667 5.3667
angles: 60.00 60.00 60.00
Fractional positions:
Ac (0.2500, 0.2500, 0.2500)
Ac (0.7500, 0.7500, 0.7500)
Ir (0.0000, 0.0000, 0.0000)
Au (0.5000, 0.5000, 0.5000)

No. 6
An optimized crystal structure of AcPbAu2. Source: the Materials Project database, functional r2SCAN.

Properties
Uncorrected energy = -57.206 eV/atom
Magnetic moment = 0.0 μB/cell
Calculated volume = 26.124 A^3/atom

abc: 5.2870 5.2870 5.2870
angles: 60.00 60.00 60.00
Fractional positions:
Ac (0.0000, 0.0000, 0.0000)
Pb (0.5000, 0.5000, 0.5000)
Au (0.2500, 0.2500, 0.2500)
Au (0.7500, 0.7500, 0.7500)